P) ErCoC, optimized geometry, DFT PBE; SG = P4_2/mmc (131)
1.0
3.609 0.000 0.000
0.000 3.609 0.000
0.000 0.000 6.797
Er Co C
2 2 2
direct
0.000 0.000 0.250
0.000 0.000 0.750
0.500 0.500 0.000
0.500 0.500 0.500
0.000 0.500 0.000
0.500 0.000 0.500

---

Q) ErCoC, optimized geometry, DFT PBE; M_tot = 0.04 μB per formula unit; SG = Pmmm (47)
1.0
3.497 0.000 0.000
0.000 3.534 0.000
0.000 0.000 3.608
Er Co C
1 1 1
direct
0.000 0.000 0.000
0.500 0.500 0.500
0.500 0.500 0.000

---

Which is the most stable structure? P) is the most stable.

---

P) YCoC, optimized geometry, DFT PBE; SG = P4_2/mmc (131)
1.0
3.627 0.000 0.000
0.000 3.627 0.000
0.000 0.000 6.948
Y Co C
2 2 2
direct
0.000 0.000 0.250
0.000 0.000 0.750
0.500 0.500 0.000
0.500 0.500 0.500
0.000 0.500 0.000
0.500 0.000 0.500

---

Q) YCoC, optimized geometry, DFT PBE; M_tot = 0.07 μB per formula unit; SG = P4/mmm (123)
1.0
3.568 0.000 0.000
0.000 3.568 0.000
0.000 0.000 3.619
Y Co C
1 1 1
direct
0.000 0.000 0.000
0.500 0.500 0.500
0.500 0.500 0.000

---

Which is the most stable structure? P) is the most stable.

---

P) CrH9C3N6, optimized geometry, DFT PBE; M_tot = 2.00 μB per formula unit; SG = P-1 (2)
1.0
5.886 0.000 0.000
2.664 7.829 0.000
1.134 -0.355 11.705
Cr H C N
2 18 6 12
direct
0.000 0.000 0.000
0.500 0.000 0.000
0.052 0.379 0.419
0.101 0.336 0.362
0.145 0.103 0.539
0.154 0.660 0.395
0.159 0.015 0.673
0.268 0.606 0.857
0.271 0.999 0.908
0.362 0.473 0.731
0.422 0.463 0.199
0.578 0.537 0.801
0.638 0.527 0.269
0.729 0.001 0.092
0.732 0.394 0.143
0.841 0.985 0.327
0.846 0.340 0.605
0.855 0.897 0.461
0.899 0.664 0.638
0.948 0.621 0.581
0.094 0.753 0.327
0.415 0.500 0.814
0.483 0.223 0.926
0.517 0.777 0.074
0.585 0.500 0.186
0.906 0.247 0.673
0.077 0.116 0.624
0.150 0.104 0.096
0.284 0.151 0.147
0.397 0.004 0.380
0.456 0.867 0.352
0.457 0.353 0.880
0.543 0.647 0.120
0.544 0.133 0.648
0.603 0.996 0.620
0.716 0.849 0.853
0.850 0.896 0.904
0.923 0.884 0.376

---

Q) CrH9C3N6, optimized geometry, DFT PBE; SG = R-3 (148)
1.0
5.660 3.268 3.728
-5.660 3.268 3.728
0.000 -6.535 3.728
Cr H C N
2 18 6 12
direct
0.000 0.000 0.000
0.500 0.500 0.500
0.157 0.333 0.440
0.196 0.443 0.649
0.246 0.602 0.268
0.268 0.246 0.602
0.333 0.440 0.157
0.351 0.804 0.557
0.398 0.732 0.754
0.440 0.157 0.333
0.443 0.649 0.196
0.557 0.351 0.804
0.560 0.843 0.667
0.602 0.268 0.246
0.649 0.196 0.443
0.667 0.560 0.843
0.732 0.754 0.398
0.754 0.398 0.732
0.804 0.557 0.351
0.843 0.667 0.560
0.051 0.760 0.869
0.131 0.949 0.240
0.240 0.131 0.949
0.760 0.869 0.051
0.869 0.051 0.760
0.949 0.240 0.131
0.076 0.624 0.789
0.211 0.924 0.376
0.254 0.365 0.554
0.365 0.554 0.254
0.376 0.211 0.924
0.446 0.746 0.635
0.554 0.254 0.365
0.624 0.789 0.076
0.635 0.446 0.746
0.746 0.635 0.446
0.789 0.076 0.624
0.924 0.376 0.211

---

Which is the most stable structure? Q) is the most stable.

---

P) Mg6CrC, optimized geometry, DFT PBE; M_tot = 3.99 μB per formula unit; SG = Amm2 (38)
1.0
4.631 0.000 0.000
0.000 3.087 5.236
0.000 -3.087 5.236
Mg Cr C
6 1 1
direct
0.000 0.000 0.000
0.000 0.020 0.502
0.000 0.494 0.494
0.000 0.502 0.020
0.500 0.335 0.835
0.500 0.835 0.335
0.500 0.838 0.838
0.500 0.345 0.345

---

Q) Mg6CrC, optimized geometry, DFT PBE; M_tot = 1.53 μB per formula unit
1.0
3.111 0.000 0.000
0.000 9.704 0.000
0.000 0.000 10.344
Mg C Cr
12 2 2
direct
0.500 0.232 0.877
0.000 0.340 0.121
0.500 0.500 0.584
0.500 0.768 0.877
0.500 0.732 0.377
0.000 0.000 0.347
0.500 0.000 0.084
0.000 0.160 0.621
0.000 0.500 0.847
0.000 0.660 0.121
0.000 0.840 0.621
0.500 0.268 0.377
0.500 0.000 0.733
0.500 0.500 0.233
0.000 0.000 0.839
0.000 0.500 0.339

---

Which is the most stable structure? Q) is the most stable.